Record 1
# ReHC4O4

Crystalline ReHC4O4 at its relaxed geometry (PBE-GGA, the Materials Project database).

SG   No. 2
E   -78.828 eV per formula unit
Magnetization   0.000 μB/f.u.
Density   3.00 g/cm³

Unit cell a=9.368 b=18.618 c=19.542 alpha=77.11 beta=88.17 gamma=85.64
Atoms (fractional coordinates):
O  0.787  0.281  0.427
O  0.631  0.812  0.479
O  0.091  0.992  0.755
O  0.403  0.286  0.956
O  0.668  0.945  0.352
O  0.620  0.405  0.690
O  0.694  0.371  0.875
O  0.855  0.705  0.847
O  0.909  0.008  0.245
O  0.597  0.714  0.044
O  0.836  0.730  0.682
O  0.027  0.533  0.812
O  0.628  0.577  0.577
O  0.306  0.629  0.125
O  0.988  0.923  0.426
O  0.357  0.486  0.045
O  0.279  0.387  0.610
O  0.647  0.642  0.208
O  0.407  0.038  0.801
O  0.380  0.595  0.310
O  0.132  0.556  0.502
O  0.343  0.746  0.418
O  0.090  0.307  0.477
O  0.160  0.192  0.040
O  0.746  0.921  0.624
O  0.726  0.526  0.767
O  0.254  0.079  0.376
O  0.372  0.423  0.423
O  0.474  0.116  0.015
O  0.359  0.748  0.210
O  0.095  0.364  0.989
O  0.140  0.845  0.869
O  0.369  0.188  0.521
O  0.213  0.719  0.573
O  0.910  0.693  0.523
O  0.205  0.112  0.205
O  0.012  0.077  0.574
O  0.304  0.527  0.664
O  0.526  0.884  0.985
O  0.962  0.563  0.656
O  0.721  0.613  0.390
O  0.973  0.467  0.188
O  0.696  0.473  0.336
O  0.254  0.818  0.034
O  0.671  0.518  0.107
O  0.661  0.069  0.676
O  0.860  0.155  0.131
O  0.367  0.928  0.492
O  0.274  0.474  0.233
O  0.374  0.181  0.840
O  0.094  0.856  0.675
O  0.795  0.888  0.795
O  0.299  0.208  0.679
O  0.593  0.962  0.199
O  0.657  0.254  0.582
O  0.329  0.482  0.893
O  0.626  0.819  0.160
O  0.129  0.706  0.772
O  0.332  0.055  0.648
O  0.840  0.808  0.960
O  0.905  0.636  0.011
O  0.701  0.792  0.321
O  0.145  0.295  0.153
O  0.868  0.444  0.498
O  0.164  0.270  0.318
O  0.633  0.072  0.508
O  0.735  0.015  0.904
O  0.746  0.182  0.966
O  0.871  0.294  0.228
O  0.339  0.931  0.324
O  0.265  0.985  0.096
O  0.882  0.998  0.057
O  0.781  0.342  0.045
O  0.038  0.437  0.344
O  0.118  0.002  0.943
O  0.353  0.358  0.792
O  0.641  0.252  0.790
O  0.219  0.658  0.955
O  0.906  0.144  0.325
O  0.643  0.514  0.955
C  0.975  0.530  0.182
C  0.214  0.867  0.668
C  0.277  0.797  0.214
C  0.901  0.425  0.557
C  0.256  0.177  0.858
C  0.010  0.039  0.762
C  0.387  0.444  0.233
C  0.998  0.868  0.407
C  0.653  0.442  0.296
C  0.908  0.934  0.071
C  0.233  0.358  0.809
C  0.737  0.089  0.713
C  0.347  0.558  0.704
C  0.260  0.854  0.856
C  0.590  0.631  0.594
C  0.613  0.556  0.767
C  0.099  0.575  0.443
C  0.784  0.055  0.856
C  0.635  0.470  0.153
C  0.954  0.723  0.468
C  0.425  0.298  0.011
C  0.626  0.911  0.636
C  0.002  0.132  0.593
C  0.374  0.089  0.364
C  0.401  0.424  0.064
C  0.740  0.146  0.144
C  0.224  0.758  0.403
C  0.575  0.702  0.989
C  0.276  0.274  0.339
C  0.724  0.726  0.661
C  0.767  0.642  0.191
C  0.330  0.720  0.590
C  0.046  0.277  0.532
C  0.675  0.879  0.809
C  0.990  0.961  0.238
C  0.161  0.390  0.628
C  0.410  0.369  0.406
C  0.613  0.087  0.448
C  0.816  0.787  0.342
C  0.143  0.824  0.061
C  0.184  0.213  0.658
C  0.430  0.974  0.811
C  0.878  0.812  0.015
C  0.591  0.779  0.533
C  0.235  0.670  0.772
C  0.857  0.176  0.939
C  0.216  0.945  0.144
C  0.258  0.599  0.320
C  0.744  0.823  0.142
C  0.185  0.632  0.140
C  0.959  0.500  0.657
C  0.504  0.875  0.929
C  0.325  0.121  0.191
C  0.723  0.203  0.786
C  0.387  0.913  0.552
C  0.670  0.280  0.410
C  0.931  0.639  0.068
C  0.742  0.401  0.680
C  0.636  0.007  0.348
C  0.262  0.303  0.134
C  0.335  0.665  0.933
C  0.365  0.530  0.847
C  0.496  0.125  0.071
C  0.570  0.026  0.189
C  0.069  0.361  0.932
C  0.839  0.610  0.372
C  0.263  0.911  0.287
C  0.409  0.221  0.467
C  0.122  0.188  0.985
C  0.765  0.330  0.228
C  0.738  0.697  0.866
C  0.041  0.500  0.343
C  0.815  0.368  0.860
C  0.599  0.576  0.936
C  0.776  0.242  0.597
C  0.364  0.993  0.652
C  0.025  0.470  0.818
C  0.092  0.066  0.929
C  0.665  0.335  0.067
C  0.786  0.133  0.332
Re  0.463  0.322  0.100
Re  0.421  0.609  0.770
Re  0.946  0.828  0.103
Re  0.952  0.396  0.655
Re  0.019  0.775  0.376
Re  0.048  0.604  0.345
Re  0.467  0.868  0.834
Re  0.134  0.880  0.225
Re  0.975  0.637  0.164
Re  0.054  0.172  0.897
Re  0.533  0.132  0.166
Re  0.579  0.391  0.230
Re  0.471  0.278  0.377
Re  0.981  0.225  0.624
Re  0.581  0.110  0.348
Re  0.866  0.120  0.775
Re  0.537  0.678  0.900
Re  0.025  0.363  0.836
Re  0.529  0.722  0.623
Re  0.419  0.890  0.652
H  0.917  0.297  0.671
H  0.525  0.233  0.160
H  0.003  0.653  0.253
H  0.973  0.851  0.189
H  0.528  0.670  0.807
H  0.497  0.205  0.326
H  0.475  0.767  0.840
H  0.997  0.737  0.161
H  0.472  0.330  0.193
H  0.426  0.848  0.748
H  0.003  0.263  0.839
H  0.550  0.301  0.288
H  0.503  0.795  0.674
H  0.083  0.703  0.329
H  0.957  0.197  0.719
H  0.027  0.149  0.811
H  0.043  0.803  0.281
H  0.997  0.347  0.747
H  0.574  0.152  0.252
H  0.450  0.699  0.712

***

Record 2
# K3P2AuSe8

Crystalline K3P2AuSe8 at its relaxed geometry (PBE-GGA, the Materials Project database).

SG   No. 9
E   -53.264 eV per formula unit
Density   3.86 g/cm³

Unit cell a=7.336 b=7.336 c=18.910 alpha=86.88 beta=86.88 gamma=120.96
Atoms (fractional coordinates):
P  0.305  0.432  0.876
P  0.680  0.216  0.624
P  0.432  0.305  0.376
P  0.216  0.680  0.124
Se  0.492  0.175  0.724
Se  0.050  0.387  0.058
Se  0.175  0.492  0.224
Se  0.074  0.078  0.373
Se  0.346  0.635  0.781
Se  0.545  0.914  0.084
Se  0.510  0.602  0.421
Se  0.823  0.003  0.625
Se  0.602  0.510  0.921
Se  0.078  0.074  0.873
Se  0.914  0.545  0.584
Se  0.103  0.542  0.939
Se  0.387  0.050  0.558
Se  0.542  0.103  0.439
Se  0.003  0.823  0.125
Se  0.635  0.346  0.281
Au  0.951  0.047  0.499
Au  0.047  0.951  0.999
K  0.361  0.499  0.606
K  0.580  0.033  0.898
K  0.894  0.680  0.754
K  0.680  0.894  0.254
K  0.033  0.580  0.398
K  0.499  0.361  0.106

***

Record 3
# Rb3Rh

Crystalline Rb3Rh at its relaxed geometry (PBE-GGA, the Materials Project database).

SG   No. 139
E   -7.720 eV per formula unit
Magnetization   0.000 μB/f.u.
Density   3.84 g/cm³

Unit cell a=6.076 b=6.076 c=6.076 alpha=121.33 beta=121.33 gamma=87.71
Atoms (fractional coordinates):
Rh  0.000  0.000  0.000
Rb  0.750  0.250  0.500
Rb  0.500  0.500  0.000
Rb  0.250  0.750  0.500

***

Record 4
# RbCeH2S2O9

Crystalline RbCeH2S2O9 at its relaxed geometry (PBE-GGA, the Materials Project database).

SG   No. 14
E   -94.326 eV per formula unit
Magnetization   1.000 μB/f.u.
Density   3.38 g/cm³

Unit cell a=8.909 b=10.288 c=10.626 alpha=61.49 beta=90.00 gamma=90.00
Atoms (fractional coordinates):
O  0.755  0.520  0.970
O  0.576  0.592  0.609
O  0.449  0.091  0.612
O  0.525  0.180  0.288
O  0.790  0.071  0.693
O  0.803  0.461  0.718
O  0.605  0.332  0.663
O  0.552  0.311  0.965
O  0.076  0.408  0.891
O  0.760  0.055  0.931
O  0.105  0.668  0.837
O  0.475  0.820  0.712
O  0.290  0.929  0.807
O  0.240  0.945  0.069
O  0.895  0.332  0.163
O  0.395  0.668  0.337
O  0.255  0.480  0.530
O  0.448  0.689  0.035
O  0.924  0.592  0.109
O  0.424  0.408  0.391
O  0.303  0.539  0.782
O  0.949  0.909  0.888
O  0.745  0.520  0.470
O  0.551  0.909  0.388
O  0.697  0.461  0.218
O  0.975  0.180  0.788
O  0.025  0.820  0.212
O  0.260  0.945  0.569
O  0.210  0.929  0.307
O  0.052  0.689  0.535
O  0.051  0.091  0.112
O  0.948  0.311  0.465
O  0.197  0.539  0.282
O  0.740  0.055  0.431
O  0.710  0.071  0.193
O  0.245  0.480  0.030
H  0.019  0.729  0.435
H  0.981  0.271  0.565
H  0.534  0.418  0.921
H  0.519  0.271  0.065
H  0.034  0.582  0.579
H  0.466  0.582  0.079
H  0.966  0.418  0.421
H  0.481  0.729  0.935
S  0.369  0.946  0.676
S  0.182  0.523  0.885
S  0.131  0.946  0.176
S  0.869  0.054  0.824
S  0.318  0.523  0.385
S  0.682  0.477  0.615
S  0.631  0.054  0.324
S  0.818  0.477  0.115
Ce  0.847  0.264  0.971
Ce  0.347  0.736  0.529
Ce  0.153  0.736  0.029
Ce  0.653  0.264  0.471
Rb  0.187  0.219  0.307
Rb  0.313  0.219  0.807
Rb  0.813  0.781  0.693
Rb  0.687  0.781  0.193

***

Record 5
# Bi3Ru3O11

Crystalline Bi3Ru3O11 at its relaxed geometry (PBE-GGA, the Materials Project database).

SG   No. 201
E   -112.615 eV per formula unit
Magnetization   0.846 μB/f.u.
Density   8.84 g/cm³

Unit cell a=9.402 b=9.402 c=9.402 alpha=90.00 beta=90.00 gamma=90.00
Atoms (fractional coordinates):
O  0.849  0.507  0.786
O  0.993  0.714  0.651
O  0.897  0.103  0.103
O  0.714  0.651  0.993
O  0.507  0.214  0.151
O  0.151  0.507  0.214
O  0.000  0.339  0.000
O  0.214  0.849  0.493
O  0.603  0.603  0.603
O  0.493  0.786  0.151
O  0.349  0.007  0.714
O  0.661  0.000  0.000
O  0.286  0.651  0.007
O  0.714  0.349  0.007
O  0.603  0.397  0.397
O  0.000  0.000  0.339
O  0.500  0.500  0.161
O  0.993  0.286  0.349
O  0.286  0.349  0.993
O  0.500  0.500  0.839
O  0.000  0.661  0.000
O  0.507  0.786  0.849
O  0.651  0.007  0.286
O  0.339  0.000  0.000
O  0.849  0.493  0.214
O  0.214  0.151  0.507
O  0.161  0.500  0.500
O  0.007  0.286  0.651
O  0.103  0.103  0.897
O  0.786  0.849  0.507
O  0.007  0.714  0.349
O  0.349  0.993  0.286
O  0.500  0.161  0.500
O  0.151  0.493  0.786
O  0.500  0.839  0.500
O  0.493  0.214  0.849
O  0.839  0.500  0.500
O  0.397  0.603  0.397
O  0.786  0.151  0.493
O  0.651  0.993  0.714
O  0.103  0.897  0.103
O  0.897  0.897  0.897
O  0.397  0.397  0.603
O  0.000  0.000  0.661
Ru  0.000  0.864  0.500
Ru  0.000  0.136  0.500
Ru  0.136  0.500  0.000
Ru  0.000  0.500  0.636
Ru  0.636  0.000  0.500
Ru  0.500  0.364  0.000
Ru  0.500  0.000  0.864
Ru  0.864  0.500  0.000
Ru  0.500  0.636  0.000
Ru  0.364  0.000  0.500
Ru  0.000  0.500  0.364
Ru  0.500  0.000  0.136
Bi  0.750  0.250  0.250
Bi  0.866  0.134  0.866
Bi  0.134  0.134  0.134
Bi  0.366  0.366  0.366
Bi  0.250  0.250  0.750
Bi  0.134  0.866  0.866
Bi  0.366  0.634  0.634
Bi  0.634  0.366  0.634
Bi  0.250  0.750  0.250
Bi  0.750  0.750  0.750
Bi  0.866  0.866  0.134
Bi  0.634  0.634  0.366

***

Record 6
# Te2MoW3Se6

Crystalline Te2MoW3Se6 at its relaxed geometry (PBE-GGA, the Materials Project database).

SG   No. 156
E   -82.313 eV per formula unit
Magnetization   0.001 μB/f.u.
Density   5.99 g/cm³

Unit cell a=3.382 b=3.382 c=38.524 alpha=90.00 beta=90.00 gamma=120.00
Atoms (fractional coordinates):
Se  0.667  0.333  0.051
Se  0.667  0.333  0.137
Se  0.333  0.667  0.701
Se  0.333  0.667  0.325
Se  0.333  0.667  0.239
Se  0.333  0.667  0.614
W  0.667  0.333  0.658
W  0.333  0.667  0.094
W  0.333  0.667  0.470
Te  0.667  0.333  0.421
Te  0.667  0.333  0.519
Mo  0.667  0.333  0.282

***

ΔE_f readings, ordered: -0.9032 -0.8315 0.6464 -2.2670 -1.5442 -0.6802 eV/atom